# 1
# K2TeMo3O15, optimized geometry, DFT PBE+U
# DFT total energy = -6.143 eV per atom
# ΔE_f = -1.38 eV/atom
# volume = 1569.5 Å³/cell
# density = 3.1 g/cm3
data_K2TeMo3O15
_chemical_formula_sum 'K8 Te4 Mo12 O60'
_space_group_name_H-M_alt 'P 1'
_space_group_IT_number 1
_space_group_name_Hall 'P 1'
_cell_length_a 9.6888
_cell_length_b 10.3575
_cell_length_c 16.7298
_cell_angle_alpha 69.20
_cell_angle_beta 90.00
_cell_angle_gamma 90.00
loop_
_atom_site_label
_atom_site_type_symbol
_atom_site_fract_x
_atom_site_fract_y
_atom_site_fract_z
O1 O 0.5868 0.6495 0.0663
O2 O 0.9132 0.6495 0.5663
O3 O 0.3790 0.3741 0.7582
O4 O 0.9747 0.8967 0.3998
O5 O 0.2283 0.3272 0.0669
O6 O 0.4747 0.1033 0.1002
O7 O 0.2812 0.6313 0.3997
O8 O 0.4132 0.3505 0.9337
O9 O 0.3418 0.6638 0.8941
O10 O 0.2717 0.3272 0.5669
O11 O 0.0253 0.1033 0.6002
O12 O 0.6231 0.6895 0.5831
O13 O 0.8518 0.1621 0.4438
O14 O 0.0932 0.8107 0.7091
O15 O 0.3769 0.3105 0.4169
O16 O 0.7167 0.9946 0.2719
O17 O 0.1210 0.3741 0.2582
O18 O 0.8839 0.2030 0.8227
O19 O 0.8647 0.8710 0.5846
O20 O 0.8790 0.6259 0.7418
O21 O 0.2167 0.0054 0.2281
O22 O 0.3647 0.1290 0.9154
O23 O 0.9068 0.1893 0.2909
O24 O 0.6875 0.0899 0.6010
O25 O 0.6353 0.8710 0.0846
O26 O 0.8418 0.3362 0.6059
O27 O 0.8781 0.4462 0.3178
O28 O 0.7283 0.6728 0.4331
O29 O 0.6482 0.1621 0.9438
O30 O 0.2833 0.0054 0.7281
O31 O 0.6161 0.2030 0.3227
O32 O 0.8022 0.9375 0.9468
O33 O 0.7833 0.9946 0.7719
O34 O 0.6582 0.3362 0.1059
O35 O 0.1482 0.8379 0.5562
O36 O 0.5932 0.1893 0.7909
O37 O 0.1978 0.0625 0.0532
O38 O 0.6210 0.6259 0.2418
O39 O 0.1582 0.6638 0.3941
O40 O 0.2188 0.6313 0.8997
O41 O 0.4068 0.8107 0.2091
O42 O 0.3518 0.8379 0.0562
O43 O 0.1161 0.7970 0.1773
O44 O 0.1875 0.9101 0.8990
O45 O 0.7188 0.3687 0.6003
O46 O 0.7717 0.6728 0.9331
O47 O 0.7812 0.3687 0.1003
O48 O 0.8125 0.0899 0.1010
O49 O 0.1353 0.1290 0.4154
O50 O 0.0868 0.3505 0.4337
O51 O 0.6219 0.4462 0.8178
O52 O 0.8769 0.6895 0.0831
O53 O 0.3839 0.7970 0.6773
O54 O 0.1231 0.3105 0.9169
O55 O 0.3781 0.5538 0.1822
O56 O 0.6978 0.9375 0.4468
O57 O 0.1219 0.5538 0.6822
O58 O 0.3125 0.9101 0.3990
O59 O 0.5253 0.8967 0.8998
O60 O 0.3022 0.0625 0.5532
Mo1 Mo 0.2483 0.9190 0.1582
Mo2 Mo 0.7450 0.7513 0.0087
Mo3 Mo 0.2450 0.2487 0.4913
Mo4 Mo 0.7550 0.7513 0.5087
Mo5 Mo 0.0017 0.6874 0.6610
Mo6 Mo 0.7517 0.0810 0.8418
Mo7 Mo 0.4983 0.6874 0.1610
Mo8 Mo 0.2550 0.2487 0.9913
Mo9 Mo 0.7483 0.0810 0.3418
Mo10 Mo 0.2517 0.9190 0.6582
Mo11 Mo 0.9983 0.3126 0.3390
Mo12 Mo 0.5017 0.3126 0.8390
K1 K 0.6379 0.7643 0.7577
K2 K 0.3670 0.5837 0.6010
K3 K 0.3621 0.2357 0.2423
K4 K 0.8621 0.7643 0.2577
K5 K 0.1330 0.5837 0.1010
K6 K 0.1379 0.2357 0.7423
K7 K 0.8670 0.4163 0.8990
K8 K 0.6330 0.4163 0.3990
Te1 Te 0.1440 0.9372 0.4367
Te2 Te 0.8560 0.0628 0.5633
Te3 Te 0.6440 0.0628 0.0633
Te4 Te 0.3560 0.9372 0.9367

***

# 2
# K4ThMo4O16, optimized geometry, DFT PBE+U
# DFT total energy = -6.857 eV per atom
# ΔE_f = -2.43 eV/atom
# volume = 932.3 Å³/cell
# density = 3.7 g/cm3
data_K4ThMo4O16
_chemical_formula_sum 'K8 Th2 Mo8 O32'
_space_group_name_H-M_alt 'P 1'
_space_group_IT_number 1
_space_group_name_Hall 'P 1'
_cell_length_a 10.6936
_cell_length_b 10.6936
_cell_length_c 10.6936
_cell_angle_alpha 112.83
_cell_angle_beta 112.83
_cell_angle_gamma 102.95
loop_
_atom_site_label
_atom_site_type_symbol
_atom_site_fract_x
_atom_site_fract_y
_atom_site_fract_z
O1 O 0.8687 0.2816 0.7665
O2 O 0.8522 0.1187 0.0871
O3 O 0.5366 0.2112 0.5330
O4 O 0.2870 0.9050 0.3132
O5 O 0.0718 0.2464 0.0330
O6 O 0.5151 0.1022 0.2335
O7 O 0.9964 0.4634 0.6746
O8 O 0.4708 0.5229 0.6372
O9 O 0.4630 0.3450 0.1868
O10 O 0.8858 0.8337 0.3628
O11 O 0.0950 0.4082 0.3820
O12 O 0.0262 0.7130 0.6180
O13 O 0.8642 0.4163 0.1372
O14 O 0.4771 0.1142 0.9479
O15 O 0.2134 0.0388 0.9670
O16 O 0.1582 0.2762 0.8132
O17 O 0.2792 0.7271 0.8628
O18 O 0.0316 0.7651 0.9129
O19 O 0.2729 0.1358 0.5521
O20 O 0.8978 0.1313 0.4129
O21 O 0.7184 0.4849 0.5871
O22 O 0.6782 0.0036 0.4670
O23 O 0.5837 0.7208 0.4479
O24 O 0.7536 0.7866 0.8254
O25 O 0.8813 0.9684 0.7335
O26 O 0.7238 0.5370 0.8820
O27 O 0.6550 0.8418 0.1180
O28 O 0.9612 0.9282 0.1746
O29 O 0.7888 0.3218 0.3254
O30 O 0.2349 0.1478 0.2665
O31 O 0.1663 0.5292 0.0521
O32 O 0.5918 0.9738 0.6868
Mo1 Mo 0.9010 0.3130 0.2321
Mo2 Mo 0.4190 0.1510 0.0880
Mo3 Mo 0.0630 0.3310 0.9120
Mo4 Mo 0.6690 0.5810 0.7321
Mo5 Mo 0.6870 0.9190 0.5880
Mo6 Mo 0.0810 0.6690 0.7679
Mo7 Mo 0.8490 0.9370 0.2679
Mo8 Mo 0.3310 0.0990 0.4120
K1 K 0.6152 0.2564 0.8349
K2 K 0.7436 0.5785 0.3588
K3 K 0.3285 0.4697 0.3349
K4 K 0.5303 0.8652 0.8588
K5 K 0.2197 0.3848 0.6412
K6 K 0.0064 0.6715 0.1412
K7 K 0.1348 0.9936 0.6651
K8 K 0.4215 0.7803 0.1651
Th1 Th 0.0000 0.0000 0.0000
Th2 Th 0.7500 0.2500 0.5000

***

# 3
# KTmMo2O8, optimized geometry, DFT PBE+U
# DFT total energy = -7.133 eV per atom
# ΔE_f = -2.55 eV/atom
# volume = 755.3 Å³/cell
# density = 4.6 g/cm3
data_KTmMo2O8
_chemical_formula_sum 'K4 Tm4 Mo8 O32'
_space_group_name_H-M_alt 'P 1'
_space_group_IT_number 1
_space_group_name_Hall 'P 1'
_cell_length_a 5.0983
_cell_length_b 8.0373
_cell_length_c 18.4329
_cell_angle_alpha 90.00
_cell_angle_beta 90.00
_cell_angle_gamma 90.00
loop_
_atom_site_label
_atom_site_type_symbol
_atom_site_fract_x
_atom_site_fract_y
_atom_site_fract_z
O1 O 0.1019 0.4748 0.6893
O2 O 0.7338 0.6632 0.0982
O3 O 0.7338 0.1632 0.9018
O4 O 0.2545 0.0052 0.4655
O5 O 0.2470 0.6910 0.4083
O6 O 0.7530 0.3090 0.5917
O7 O 0.7455 0.4948 0.4655
O8 O 0.8981 0.5252 0.3107
O9 O 0.2338 0.3368 0.4018
O10 O 0.3981 0.4748 0.1893
O11 O 0.7455 0.9948 0.5345
O12 O 0.3981 0.9748 0.8107
O13 O 0.2338 0.8368 0.5982
O14 O 0.2470 0.1910 0.5917
O15 O 0.7545 0.9948 0.0345
O16 O 0.7545 0.4948 0.9655
O17 O 0.1019 0.9748 0.3107
O18 O 0.2662 0.3368 0.9018
O19 O 0.7662 0.6632 0.5982
O20 O 0.7470 0.3090 0.0917
O21 O 0.2530 0.1910 0.0917
O22 O 0.2530 0.6910 0.9083
O23 O 0.6019 0.0252 0.1893
O24 O 0.2545 0.5052 0.5345
O25 O 0.7470 0.8090 0.9083
O26 O 0.7662 0.1632 0.4018
O27 O 0.7530 0.8090 0.4083
O28 O 0.2455 0.0052 0.9655
O29 O 0.2662 0.8368 0.0982
O30 O 0.2455 0.5052 0.0345
O31 O 0.6019 0.5252 0.8107
O32 O 0.8981 0.0252 0.6893
Mo1 Mo 0.0225 0.0160 0.6005
Mo2 Mo 0.5225 0.9840 0.8995
Mo3 Mo 0.4775 0.0160 0.1005
Mo4 Mo 0.0225 0.5160 0.3995
Mo5 Mo 0.9775 0.9840 0.3995
Mo6 Mo 0.5225 0.4840 0.1005
Mo7 Mo 0.9775 0.4840 0.6005
Mo8 Mo 0.4775 0.5160 0.8995
K1 K 0.5000 0.7500 0.2701
K2 K 0.0000 0.7500 0.7701
K3 K 0.0000 0.2500 0.2299
K4 K 0.5000 0.2500 0.7299
Tm1 Tm 0.0000 0.7500 0.0059
Tm2 Tm 0.5000 0.2500 0.4941
Tm3 Tm 0.5000 0.7500 0.5059
Tm4 Tm 0.0000 0.2500 0.9941

***

# 4
# KTmMo2O8, optimized geometry, DFT PBE+U
# DFT total energy = -7.120 eV per atom
# ΔE_f = -2.54 eV/atom
# volume = 321.3 Å³/cell
# density = 5.5 g/cm3
data_KTmMo2O8
_chemical_formula_sum 'K2 Tm2 Mo4 O16'
_space_group_name_H-M_alt 'P 1'
_space_group_IT_number 1
_space_group_name_Hall 'P 1'
_cell_length_a 7.4459
_cell_length_b 7.4459
_cell_length_c 7.6965
_cell_angle_alpha 61.73
_cell_angle_beta 61.73
_cell_angle_gamma 87.79
loop_
_atom_site_label
_atom_site_type_symbol
_atom_site_fract_x
_atom_site_fract_y
_atom_site_fract_z
Mo1 Mo 0.6984 0.6967 0.2616
Mo2 Mo 0.3033 0.3016 0.2384
Mo3 Mo 0.3016 0.3033 0.7384
Mo4 Mo 0.6967 0.6984 0.7616
O1 O 0.5878 0.3665 0.9674
O2 O 0.0639 0.3815 0.3804
O3 O 0.2291 0.3876 0.9409
O4 O 0.4122 0.6335 0.0326
O5 O 0.9361 0.6185 0.6196
O6 O 0.6335 0.4122 0.5326
O7 O 0.6124 0.7709 0.5591
O8 O 0.3876 0.2291 0.4409
O9 O 0.3815 0.0639 0.8804
O10 O 0.9569 0.7929 0.1918
O11 O 0.3665 0.5878 0.4674
O12 O 0.6185 0.9361 0.1196
O13 O 0.0431 0.2071 0.8082
O14 O 0.2071 0.0431 0.3082
O15 O 0.7709 0.6124 0.0591
O16 O 0.7929 0.9569 0.6918
K1 K 0.1997 0.8003 0.7500
K2 K 0.8003 0.1997 0.2500
Tm1 Tm 0.7713 0.2287 0.7500
Tm2 Tm 0.2287 0.7713 0.2500

***

# 5
# K2UMo2O10, optimized geometry, DFT PBE+U
# DFT total energy = -7.312 eV per atom
# ΔE_f = -2.55 eV/atom
# volume = 2263.6 Å³/cell
# density = 3.9 g/cm3
data_K2UMo2O10
_chemical_formula_sum 'K16 U8 Mo16 O80'
_space_group_name_H-M_alt 'P 1'
_space_group_IT_number 1
_space_group_name_Hall 'P 1'
_cell_length_a 13.7269
_cell_length_b 12.4770
_cell_length_c 13.2619
_cell_angle_alpha 85.25
_cell_angle_beta 90.00
_cell_angle_gamma 90.00
loop_
_atom_site_label
_atom_site_type_symbol
_atom_site_fract_x
_atom_site_fract_y
_atom_site_fract_z
O1 O 0.7976 0.7061 0.4889
O2 O 0.8084 0.5816 0.1858
O3 O 0.4846 0.5092 0.3798
O4 O 0.5964 0.6849 0.5070
O5 O 0.6458 0.1515 0.9933
O6 O 0.3055 0.1251 0.3983
O7 O 0.8347 0.3646 0.3758
O8 O 0.6653 0.3646 0.8758
O9 O 0.9194 0.6763 0.6746
O10 O 0.3333 0.0783 0.0733
O11 O 0.8291 0.8229 0.8344
O12 O 0.7024 0.7061 0.9889
O13 O 0.4194 0.3237 0.8254
O14 O 0.9846 0.4908 0.1202
O15 O 0.8349 0.2486 0.9855
O16 O 0.0806 0.3237 0.3254
O17 O 0.1916 0.4184 0.8142
O18 O 0.1651 0.7514 0.0145
O19 O 0.5154 0.4908 0.6202
O20 O 0.6995 0.2990 0.1475
O21 O 0.6667 0.9217 0.9267
O22 O 0.8873 0.4978 0.5570
O23 O 0.0964 0.3151 0.9930
O24 O 0.1667 0.0783 0.5733
O25 O 0.4591 0.8001 0.6837
O26 O 0.0149 0.0440 0.3894
O27 O 0.8542 0.1515 0.4933
O28 O 0.8005 0.2990 0.6475
O29 O 0.6651 0.2486 0.4855
O30 O 0.9036 0.6849 0.0070
O31 O 0.3349 0.7514 0.5145
O32 O 0.0409 0.8001 0.1837
O33 O 0.1127 0.5022 0.4430
O34 O 0.8048 0.4641 0.0038
O35 O 0.6574 0.0312 0.4169
O36 O 0.1995 0.7010 0.3525
O37 O 0.5409 0.1999 0.3163
O38 O 0.2024 0.2939 0.5111
O39 O 0.1458 0.8485 0.5067
O40 O 0.8468 0.1075 0.2791
O41 O 0.2976 0.2939 0.0111
O42 O 0.1952 0.5359 0.9962
O43 O 0.8426 0.0312 0.9169
O44 O 0.0082 0.6830 0.4732
O45 O 0.9892 0.8805 0.9746
O46 O 0.3005 0.7010 0.8525
O47 O 0.4892 0.1195 0.5254
O48 O 0.0154 0.5092 0.8798
O49 O 0.1653 0.6354 0.6242
O50 O 0.3084 0.4184 0.3142
O51 O 0.4851 0.0440 0.8894
O52 O 0.3291 0.1771 0.6656
O53 O 0.4918 0.6830 0.9732
O54 O 0.4036 0.3151 0.4930
O55 O 0.1532 0.8925 0.7209
O56 O 0.5082 0.3170 0.0268
O57 O 0.5108 0.8805 0.4746
O58 O 0.6709 0.8229 0.3344
O59 O 0.3873 0.5022 0.9430
O60 O 0.0108 0.1195 0.0254
O61 O 0.6532 0.1075 0.7791
O62 O 0.6945 0.8749 0.6017
O63 O 0.8055 0.8749 0.1017
O64 O 0.5806 0.6763 0.1746
O65 O 0.3048 0.5359 0.4962
O66 O 0.3347 0.6354 0.1242
O67 O 0.1709 0.1771 0.1656
O68 O 0.6127 0.4978 0.0570
O69 O 0.8333 0.9217 0.4267
O70 O 0.5149 0.9560 0.1106
O71 O 0.1574 0.9688 0.0831
O72 O 0.3468 0.8925 0.2209
O73 O 0.9591 0.1999 0.8163
O74 O 0.3542 0.8485 0.0067
O75 O 0.1945 0.1251 0.8983
O76 O 0.6952 0.4641 0.5038
O77 O 0.3426 0.9688 0.5831
O78 O 0.9918 0.3170 0.5268
O79 O 0.6916 0.5816 0.6858
O80 O 0.9851 0.9560 0.6106
K1 K 0.6302 0.7601 0.7816
K2 K 0.3227 0.9637 0.8086
K3 K 0.3415 0.5386 0.7138
K4 K 0.9565 0.2712 0.1816
K5 K 0.3698 0.2399 0.2184
K6 K 0.1302 0.2399 0.7184
K7 K 0.4565 0.7288 0.3184
K8 K 0.1585 0.5386 0.2138
K9 K 0.5435 0.2712 0.6816
K10 K 0.6585 0.4614 0.2862
K11 K 0.8698 0.7601 0.2816
K12 K 0.8415 0.4614 0.7862
K13 K 0.1773 0.9637 0.3086
K14 K 0.0435 0.7288 0.8184
K15 K 0.8227 0.0363 0.6914
K16 K 0.6773 0.0363 0.1914
Mo1 Mo 0.9037 0.6417 0.5505
Mo2 Mo 0.1243 0.4447 0.9233
Mo3 Mo 0.6243 0.5553 0.5767
Mo4 Mo 0.0862 0.8497 0.0647
Mo5 Mo 0.5862 0.1503 0.4353
Mo6 Mo 0.0963 0.3583 0.4495
Mo7 Mo 0.3878 0.9439 0.1003
Mo8 Mo 0.8878 0.0561 0.3997
Mo9 Mo 0.4037 0.3583 0.9495
Mo10 Mo 0.8757 0.5553 0.0767
Mo11 Mo 0.9138 0.1503 0.9353
Mo12 Mo 0.4138 0.8497 0.5647
Mo13 Mo 0.3757 0.4447 0.4233
Mo14 Mo 0.5963 0.6417 0.0505
Mo15 Mo 0.6122 0.0561 0.8997
Mo16 Mo 0.1122 0.9439 0.6003
U1 U 0.1827 0.1539 0.0315
U2 U 0.8173 0.8461 0.9685
U3 U 0.3173 0.1539 0.5315
U4 U 0.6827 0.8461 0.4685
U5 U 0.6806 0.3316 0.0118
U6 U 0.3194 0.6684 0.9882
U7 U 0.8194 0.3316 0.5118
U8 U 0.1806 0.6684 0.4882

***

# 6
# K2U2MoO10, optimized geometry, DFT PBE+U
# DFT total energy = -7.978 eV per atom
# ΔE_f = -2.97 eV/atom
# volume = 1068.5 Å³/cell
# density = 5.0 g/cm3
data_K2U2MoO10
_chemical_formula_sum 'K8 U8 Mo4 O40'
_space_group_name_H-M_alt 'P 1'
_space_group_IT_number 1
_space_group_name_Hall 'P 1'
_cell_length_a 15.5868
_cell_length_b 8.3968
_cell_length_c 8.4367
_cell_angle_alpha 75.39
_cell_angle_beta 90.00
_cell_angle_gamma 90.00
loop_
_atom_site_label
_atom_site_type_symbol
_atom_site_fract_x
_atom_site_fract_y
_atom_site_fract_z
O1 O 0.1658 0.6643 0.5352
O2 O 0.6658 0.3357 0.9648
O3 O 0.3289 0.6556 0.3742
O4 O 0.9994 0.3096 0.0100
O5 O 0.3318 0.7529 0.6794
O6 O 0.0342 0.9019 0.6452
O7 O 0.0433 0.9732 0.1317
O8 O 0.6537 0.9691 0.6543
O9 O 0.5074 0.7154 0.9064
O10 O 0.6711 0.3444 0.6258
O11 O 0.5433 0.0268 0.3683
O12 O 0.9658 0.0981 0.3548
O13 O 0.8442 0.9595 0.6203
O14 O 0.5006 0.3096 0.5100
O15 O 0.7292 0.5861 0.2414
O16 O 0.8463 0.9691 0.1543
O17 O 0.1711 0.6556 0.8742
O18 O 0.3463 0.0309 0.3457
O19 O 0.4994 0.6904 0.4900
O20 O 0.9926 0.7154 0.4064
O21 O 0.4926 0.2846 0.0936
O22 O 0.1682 0.7529 0.1794
O23 O 0.4658 0.9019 0.1452
O24 O 0.0006 0.6904 0.9900
O25 O 0.3342 0.6643 0.0352
O26 O 0.7708 0.5861 0.7414
O27 O 0.0074 0.2846 0.5936
O28 O 0.2292 0.4139 0.2586
O29 O 0.5342 0.0981 0.8548
O30 O 0.6682 0.2471 0.3206
O31 O 0.4567 0.9732 0.6317
O32 O 0.3442 0.0405 0.8797
O33 O 0.8289 0.3444 0.1258
O34 O 0.8318 0.2471 0.8206
O35 O 0.9567 0.0268 0.8683
O36 O 0.2708 0.4139 0.7586
O37 O 0.1537 0.0309 0.8457
O38 O 0.1558 0.0405 0.3797
O39 O 0.8342 0.3357 0.4648
O40 O 0.6558 0.9595 0.1203
K1 K 0.0420 0.4446 0.2737
K2 K 0.5420 0.5554 0.2263
K3 K 0.7361 0.8249 0.4253
K4 K 0.2361 0.1751 0.0747
K5 K 0.7639 0.8249 0.9253
K6 K 0.4580 0.4446 0.7737
K7 K 0.2639 0.1751 0.5747
K8 K 0.9580 0.5554 0.7263
U1 U 0.0712 0.8838 0.3941
U2 U 0.5712 0.1162 0.1059
U3 U 0.4258 0.8661 0.4173
U4 U 0.9288 0.1162 0.6059
U5 U 0.4288 0.8838 0.8941
U6 U 0.5742 0.1339 0.5827
U7 U 0.0742 0.8661 0.9173
U8 U 0.9258 0.1339 0.0827
Mo1 Mo 0.7633 0.3782 0.2902
Mo2 Mo 0.2367 0.6218 0.7098
Mo3 Mo 0.2633 0.6218 0.2098
Mo4 Mo 0.7367 0.3782 0.7902